# 1
Tm4Ge6Os7 PBE relaxed; formation energy = -0.437 eV per atom
1.0
-4.165 4.165 4.165
4.165 -4.165 4.165
4.165 4.165 -4.165
Tm Ge Os
4 6 7
direct
0.000 0.000 0.500
0.000 0.500 0.000
0.500 0.000 0.000
0.500 0.500 0.500
0.000 0.309 0.309
0.000 0.691 0.691
0.309 0.000 0.309
0.309 0.309 0.000
0.691 0.000 0.691
0.691 0.691 0.000
0.000 0.000 0.000
0.250 0.500 0.750
0.250 0.750 0.500
0.500 0.250 0.750
0.500 0.750 0.250
0.750 0.250 0.500
0.750 0.500 0.250

---

# 2
U4Ge6Os7 PBE relaxed; formation energy = -0.356 eV per atom
1.0
-4.171 4.171 4.171
4.171 -4.171 4.171
4.171 4.171 -4.171
U Ge Os
4 6 7
direct
0.000 0.000 0.500
0.000 0.500 0.000
0.500 0.000 0.000
0.500 0.500 0.500
0.000 0.308 0.308
0.000 0.692 0.692
0.308 0.000 0.308
0.308 0.308 0.000
0.692 0.000 0.692
0.692 0.692 0.000
0.000 0.000 0.000
0.250 0.500 0.750
0.250 0.750 0.500
0.500 0.250 0.750
0.500 0.750 0.250
0.750 0.250 0.500
0.750 0.500 0.250

---

# 3
V6GeOs PBE relaxed; formation energy = -0.328 eV per atom
1.0
4.775 0.000 0.000
0.000 4.775 0.000
0.000 0.000 4.775
V Ge Os
6 1 1
direct
0.000 0.248 0.500
0.000 0.752 0.500
0.248 0.500 0.000
0.500 0.000 0.248
0.500 0.000 0.752
0.752 0.500 0.000
0.500 0.500 0.500
0.000 0.000 0.000

---

# 4
Y3Ge13Os4 PBE relaxed; formation energy = -0.342 eV per atom
1.0
9.093 0.000 0.000
0.000 9.093 0.000
0.000 0.000 9.093
Y Ge Os
6 26 8
direct
0.000 0.250 0.500
0.000 0.750 0.500
0.250 0.500 0.000
0.500 0.000 0.250
0.500 0.000 0.750
0.750 0.500 0.000
0.000 0.000 0.000
0.000 0.298 0.145
0.000 0.298 0.855
0.000 0.702 0.145
0.000 0.702 0.855
0.145 0.000 0.298
0.145 0.000 0.702
0.202 0.500 0.355
0.202 0.500 0.645
0.298 0.145 0.000
0.298 0.855 0.000
0.355 0.202 0.500
0.355 0.798 0.500
0.500 0.355 0.202
0.500 0.355 0.798
0.500 0.500 0.500
0.500 0.645 0.202
0.500 0.645 0.798
0.645 0.202 0.500
0.645 0.798 0.500
0.702 0.145 0.000
0.702 0.855 0.000
0.798 0.500 0.355
0.798 0.500 0.645
0.855 0.000 0.298
0.855 0.000 0.702
0.250 0.250 0.250
0.250 0.250 0.750
0.250 0.750 0.250
0.250 0.750 0.750
0.750 0.250 0.250
0.750 0.250 0.750
0.750 0.750 0.250
0.750 0.750 0.750

---

# 5
Y5Ge10Os4 PBE relaxed; formation energy = -0.552 eV per atom
1.0
13.204 0.000 0.000
0.000 13.204 0.000
0.000 0.000 4.288
Y Ge Os
10 20 8
direct
0.000 0.000 0.000
0.117 0.383 0.500
0.172 0.672 0.500
0.328 0.172 0.500
0.383 0.883 0.500
0.500 0.500 0.000
0.617 0.117 0.500
0.672 0.828 0.500
0.828 0.328 0.500
0.883 0.617 0.500
0.008 0.842 0.500
0.067 0.567 0.000
0.158 0.008 0.500
0.164 0.198 0.000
0.198 0.836 0.000
0.302 0.336 0.000
0.336 0.698 0.000
0.342 0.508 0.500
0.433 0.067 0.000
0.492 0.342 0.500
0.508 0.658 0.500
0.567 0.933 0.000
0.658 0.492 0.500
0.664 0.302 0.000
0.698 0.664 0.000
0.802 0.164 0.000
0.836 0.802 0.000
0.842 0.992 0.500
0.933 0.433 0.000
0.992 0.158 0.500
0.018 0.753 0.000
0.247 0.018 0.000
0.253 0.518 0.000
0.482 0.253 0.000
0.518 0.747 0.000
0.747 0.482 0.000
0.753 0.982 0.000
0.982 0.247 0.000

---

# 6
ZrGeOs PBE relaxed; formation energy = -0.618 eV per atom
1.0
6.767 0.000 0.000
-3.384 5.861 0.000
0.000 0.000 3.828
Zr Ge Os
3 3 3
direct
0.000 0.414 0.000
0.414 0.000 0.000
0.586 0.586 0.000
0.000 0.000 0.000
0.333 0.667 0.500
0.667 0.333 0.500
0.000 0.756 0.500
0.244 0.244 0.500
0.756 0.000 0.500